# 1
First-principles (PBE) data for DyInCu2 after structural relaxation, as listed in the Materials Project.

The total energy comes out at -16.9 eV per cell. Its crystal system is cubic. As for the formation energy: -0.325 eV per atom.

Lattice parameters (Å, degrees): 4.686 4.686 4.686 60.00 60.00 60.00
Sites, in units of the cell vectors:
In1 0.000 0.000 0.000
Dy1 0.500 0.500 0.500
Cu1 0.250 0.250 0.250
Cu2 0.750 0.750 0.750

***

# 2
First-principles (PBE) data for Ta2Se after structural relaxation, as listed in the Materials Project.

The total energy comes out at -57.1 eV per cell. Its crystal system is tetragonal. As for the formation energy: -0.603 eV per atom.

Lattice parameters (Å, degrees): 3.404 3.404 10.338 90.00 90.00 90.00
Sites, in units of the cell vectors:
Ta1 0.500 0.000 0.073
Ta2 0.000 0.500 0.230
Se1 0.000 0.500 0.651
Ta3 0.000 0.500 0.927
Se2 0.500 0.000 0.349
Ta4 0.500 0.000 0.770

***

# 3
First-principles (PBE) data for Tb3InC after structural relaxation, as listed in the Materials Project.

The total energy comes out at -17.9 eV per cell. Its crystal system is cubic. As for the formation energy: 1.591 eV per atom.

Lattice parameters (Å, degrees): 5.609 5.609 5.609 90.00 90.00 90.00
Sites, in units of the cell vectors:
Tb1 0.500 0.000 0.500
C1 0.000 0.000 0.000
Tb2 0.000 0.500 0.500
In1 0.500 0.500 0.500
Tb3 0.500 0.500 0.000

***

# 4
First-principles (PBE) data for BaEuHfSnO6 after structural relaxation, as listed in the Materials Project.

The total energy comes out at -83.4 eV per cell. Its crystal system is cubic. As for the formation energy: -3.173 eV per atom.

Lattice parameters (Å, degrees): 5.876 5.876 5.876 60.00 60.00 60.00
Sites, in units of the cell vectors:
O1 0.250 0.750 0.250
Eu1 0.250 0.250 0.250
Sn1 0.500 0.500 0.500
Hf1 0.000 0.000 0.000
Ba1 0.750 0.750 0.750
O2 0.250 0.250 0.750
O3 0.750 0.250 0.750
O4 0.750 0.250 0.250
O5 0.750 0.750 0.250
O6 0.250 0.750 0.750

***

# 5
First-principles (PBE) data for NdYFe14B after structural relaxation, as listed in the Materials Project.

The total energy comes out at -551.3 eV per cell. Its crystal system is tetragonal. As for the formation energy: -0.078 eV per atom.

Lattice parameters (Å, degrees): 8.771 8.771 12.082 90.00 90.00 90.00
Sites, in units of the cell vectors:
Fe1 0.682 0.682 0.247
Fe2 0.464 0.859 0.324
Fe3 0.182 0.818 0.253
Fe4 0.597 0.403 0.298
Fe5 0.275 0.067 0.627
Fe6 0.000 0.000 0.615
Fe7 0.818 0.182 0.253
Fe8 0.567 0.225 0.127
B1 0.125 0.125 0.500
Fe9 0.318 0.318 0.753
Fe10 0.275 0.067 0.373
Fe11 0.964 0.641 0.176
Fe12 0.067 0.275 0.373
Fe13 0.500 0.000 0.500
Fe14 0.818 0.182 0.747
Fe15 0.933 0.725 0.373
Fe16 0.225 0.567 0.873
Fe17 0.536 0.141 0.324
Fe18 0.141 0.536 0.324
Fe19 0.775 0.433 0.127
Fe20 0.097 0.097 0.202
Nd1 0.235 0.765 0.500
Fe21 0.036 0.359 0.824
Fe22 0.359 0.036 0.176
Fe23 0.067 0.275 0.627
Fe24 0.725 0.933 0.627
Y1 0.355 0.355 0.500
Fe25 0.964 0.641 0.824
Fe26 0.403 0.597 0.298
Fe27 0.903 0.903 0.798
Y2 0.145 0.855 0.000
Fe28 0.359 0.036 0.824
Fe29 0.318 0.318 0.247
Fe30 0.775 0.433 0.873
Fe31 0.859 0.464 0.676
Fe32 0.182 0.818 0.747
Fe33 0.000 0.500 0.500
Fe34 0.682 0.682 0.753
Fe35 0.403 0.597 0.702
Fe36 0.036 0.359 0.176
Fe37 0.725 0.933 0.373
Fe38 0.641 0.964 0.824
B2 0.625 0.375 0.000
Fe39 0.641 0.964 0.176
Fe40 0.500 0.000 0.000
Nd2 0.735 0.735 0.000
Fe41 0.933 0.725 0.627
Fe42 0.141 0.536 0.676
Fe43 0.500 0.500 0.885
Fe44 0.903 0.903 0.202
Fe45 0.567 0.225 0.873
Y3 0.645 0.645 0.500
Fe46 0.500 0.500 0.115
Fe47 0.433 0.775 0.127
Fe48 0.597 0.403 0.702
B3 0.375 0.625 0.000
B4 0.875 0.875 0.500
Fe49 0.000 0.000 0.385
Fe50 0.225 0.567 0.127
Fe51 0.433 0.775 0.873
Nd3 0.265 0.265 0.000
Fe52 0.859 0.464 0.324
Fe53 0.097 0.097 0.798
Y4 0.855 0.145 0.000
Nd4 0.765 0.235 0.500
Fe54 0.000 0.500 0.000
Fe55 0.464 0.859 0.676
Fe56 0.536 0.141 0.676

***

# 6
First-principles (PBE) data for MgTe2MoW2Se2S2 after structural relaxation, as listed in the Materials Project.

The total energy comes out at -63.7 eV per cell. Its crystal system is triclinic. The value obtained for the energy relative to the lowest polymorph listed for this composition is 27 meV/atom. As for the formation energy: -0.475 eV per atom.

Lattice parameters (Å, degrees): 3.335 3.335 30.971 90.00 90.00 120.00
Sites, in units of the cell vectors:
S1 0.333 0.667 0.298
Mo1 0.333 0.667 0.116
Te1 0.667 0.333 0.054
S2 0.333 0.667 0.396
Mg1 0.719 0.346 0.836
W1 0.667 0.333 0.347
W2 0.333 0.667 0.578
Se1 0.667 0.333 0.632
Te2 0.667 0.333 0.177
Se2 0.667 0.333 0.524

***

# 7
First-principles (PBE) data for K3TbB2O6 after structural relaxation, as listed in the Materials Project.

The total energy comes out at -162.0 eV per cell. Its crystal system is orthorhombic. As for the formation energy: -2.841 eV per atom.

Lattice parameters (Å, degrees): 5.598 6.877 9.489 90.00 90.00 90.00
Sites, in units of the cell vectors:
K1 0.500 0.767 0.832
O1 0.500 0.307 0.696
O2 0.784 0.299 0.403
O3 0.784 0.701 0.597
K2 0.000 0.267 0.668
Tb1 0.000 0.000 0.000
O4 0.716 0.201 0.903
B1 0.500 0.763 0.166
B2 0.500 0.237 0.834
O5 0.000 0.807 0.804
O6 0.284 0.201 0.903
O7 0.216 0.701 0.597
O8 0.500 0.693 0.304
K3 0.000 0.733 0.332
Tb2 0.500 0.500 0.500
O9 0.284 0.799 0.097
O10 0.216 0.299 0.403
B3 0.000 0.737 0.666
K4 0.500 0.233 0.168
O11 0.716 0.799 0.097
K5 0.500 0.000 0.500
B4 0.000 0.263 0.334
O12 0.000 0.193 0.196
K6 0.000 0.500 0.000

***

# 8
First-principles (PBE) data for MgTiZnBi2O6 after structural relaxation, as listed in the Materials Project.

The total energy comes out at -66.1 eV per cell. Its crystal system is monoclinic. The value obtained for the energy relative to the lowest polymorph listed for this composition is 144 meV/atom. As for the formation energy: -2.003 eV per atom.

Lattice parameters (Å, degrees): 3.909 3.909 10.986 92.97 92.97 88.70
Sites, in units of the cell vectors:
O1 0.554 0.047 0.707
O2 0.047 0.554 0.707
O3 0.535 0.535 0.471
Zn1 0.539 0.539 0.667
Bi1 0.918 0.918 0.455
O4 0.488 0.488 0.091
Mg1 0.060 0.060 0.757
Ti1 0.456 0.456 0.268
O5 0.524 0.995 0.302
O6 0.995 0.524 0.302
Bi2 0.081 0.081 0.049